Record 1
Density functional theory data (PBE-GGA) for a relaxed PAu3 crystal.

```
PAu3
1.0
-2.037 2.037 4.254
2.037 -2.037 4.254
2.037 2.037 -4.254
P Au
1 3
Cartesian
0.000 0.000 0.000
0.000 2.037 2.127
2.037 0.000 2.127
0.000 0.000 4.254
```

Computed properties:
For the density, the calculation gives 14.628 g/cm³. The value obtained for the magnetic moment is 0.000 μB/cell. As for the energy relative to the lowest polymorph listed for this composition: 1.1 kJ per mole of atoms. The value obtained for the calculated formation energy is 30.4 kJ/mol of atoms.

***

Record 2
Density functional theory data (PBE-GGA) for a relaxed P2PbAu2 crystal.

```
P2PbAu2
1.0
-5.791 1.298 0.969
5.479 -0.935 2.295
2.318 11.098 -1.009
P Pb Au
4 2 4
Cartesian
-2.260 6.879 0.688
3.308 -0.002 1.984
4.265 4.581 1.567
-1.303 11.462 0.271
1.324 8.555 0.845
0.681 2.904 1.411
0.000 0.000 0.000
-1.530 9.121 0.509
1.159 5.549 -0.505
3.535 2.339 1.746
```

Computed properties:
For the density, the calculation gives 10.139 g/cm³. The value obtained for the calculated formation energy is -12.8 kJ/mol of atoms.

***

Record 3
Density functional theory data (PBE-GGA) for a relaxed TlPAuSe3 crystal.

```
TlPAuSe3
1.0
3.674 6.239 0.000
-3.674 6.239 0.000
0.000 4.203 7.322
Tl P Au Se
2 2 2 6
Cartesian
0.000 9.890 1.685
0.000 6.792 5.637
0.000 14.826 4.780
0.000 1.855 2.542
1.923 6.239 0.000
-1.923 6.239 0.000
0.000 3.699 1.384
-1.814 6.829 2.379
0.000 12.983 5.938
1.814 9.852 4.942
1.814 6.829 2.379
-1.814 9.852 4.942
```

Computed properties:
For the density, the calculation gives 6.621 g/cm³. The value obtained for the magnetic moment is 0.001 μB/cell. The value obtained for the calculated formation energy is -42.6 kJ/mol of atoms.

***

Record 4
Density functional theory data (PBE-GGA) for a relaxed SrPAu crystal.

```
SrPAu
1.0
-2.817 1.860 2.799
-0.550 0.500 -4.322
-4.846 -7.042 -0.198
Sr P Au
2 2 2
Cartesian
0.000 0.000 0.000
-2.423 -3.521 -0.099
-2.518 -0.807 -1.998
-5.696 -3.875 0.277
-4.941 -4.328 -2.097
-3.273 -0.354 0.376
```

Computed properties:
For the density, the calculation gives 7.359 g/cm³. The value obtained for the calculated formation energy is -87.5 kJ/mol of atoms.

***

Record 5
Density functional theory data (PBE-GGA) for a relaxed PaPbAu2 crystal.

```
PaPbAu2
1.0
0.000 3.590 3.590
3.590 0.000 3.590
3.590 3.590 0.000
Pa Pb Au
1 1 2
Cartesian
3.590 3.590 3.590
0.000 0.000 0.000
5.385 5.385 5.385
1.795 1.795 1.795
```

Computed properties:
For the density, the calculation gives 14.934 g/cm³. The value obtained for the calculated formation energy is -26.4 kJ/mol of atoms.

***

Record 6
Density functional theory data (PBE-GGA) for a relaxed PaSnAu2 crystal.

```
PaSnAu2
1.0
0.000 3.545 3.545
3.545 0.000 3.545
3.545 3.545 0.000
Pa Sn Au
1 1 2
Cartesian
0.000 0.000 0.000
3.545 3.545 3.545
1.772 1.772 1.772
5.317 5.317 5.317
```

Computed properties:
For the density, the calculation gives 13.860 g/cm³. The value obtained for the calculated formation energy is -39.1 kJ/mol of atoms.

***

- Among the records above, which one has the lowest density?
  TlPAuSe3

***

- Which of these has the lowest density?
  TlPAuSe3

***

- Which of these has the highest density?
  PaPbAu2